Material: Ta2Te5Pd3
Method: DFT, GGA-PBE
State: relaxed Values from VASP.

Geometry as Quantum ESPRESSO input:
```
&SYSTEM
  ibrav = 0, nat = 40, ntyp = 3
/
ATOMIC_SPECIES
Ta 180.95 Ta.upf
Te 127.60 Te.upf
Pd 106.42 Pd.upf
CELL_PARAMETERS angstrom
15.137 0.000 0.000
0.000 3.744 0.000
0.000 0.000 18.842
ATOMIC_POSITIONS angstrom
Ta 3.707 0.936 3.158
Ta 3.775 2.808 7.834
Ta 3.794 0.936 17.255
Ta 3.861 2.808 12.579
Ta 11.276 0.936 6.263
Ta 11.343 2.808 1.587
Ta 11.363 0.936 11.008
Ta 11.430 2.808 15.684
Te 1.648 0.936 8.273
Te 1.721 0.936 12.190
Te 1.740 2.808 4.121
Te 1.849 2.808 16.246
Te 2.187 0.936 0.760
Te 5.382 2.808 10.181
Te 5.720 0.936 6.825
Te 5.829 0.936 13.542
Te 5.847 2.808 2.769
Te 5.920 2.808 17.694
Te 9.217 0.936 1.148
Te 9.290 0.936 16.073
Te 9.308 2.808 5.300
Te 9.418 2.808 12.017
Te 9.755 0.936 8.662
Te 12.951 2.808 18.083
Te 13.288 0.936 2.596
Te 13.398 0.936 14.721
Te 13.416 2.808 6.652
Te 13.489 2.808 10.569
Pd 2.784 0.936 5.846
Pd 2.948 0.936 14.569
Pd 3.477 0.936 10.203
Pd 4.092 2.808 0.782
Pd 4.621 2.808 5.148
Pd 4.785 2.808 15.267
Pd 10.352 0.936 3.575
Pd 10.516 0.936 13.695
Pd 11.045 0.936 18.060
Pd 11.661 2.808 8.639
Pd 12.189 2.808 4.273
Pd 12.353 2.808 12.997
```

Properties
raw total energy = -5.9184 eV per atom
energy relative to the elements = -41 kJ per mole of atoms
space-group type = Pnma (62)